Record 1
# PBE CaAgO2, optimized geometry
data_CaAgO2
_chemical_formula_sum 'Ca2 Ag2 O4'
_space_group_name_H-M_alt 'P 1'
_space_group_IT_number 1
_space_group_name_Hall 'P 1'
_cell_length_a 5.900
_cell_length_b 5.900
_cell_length_c 3.347
_cell_angle_alpha 90.00
_cell_angle_beta 90.00
_cell_angle_gamma 109.65
loop_
_atom_site_label
_atom_site_type_symbol
_atom_site_fract_x
_atom_site_fract_y
_atom_site_fract_z
Ca1 Ca 0.000 0.500 0.000
Ca2 Ca 0.500 0.000 0.000
Ag1 Ag 0.500 0.500 0.500
Ag2 Ag 0.000 0.000 0.500
O1 O 0.777 0.223 0.500
O2 O 0.709 0.709 0.000
O3 O 0.291 0.291 0.000
O4 O 0.223 0.777 0.500
# Final energy   -20.9 eV/f.u.
# E_form   -1.89 eV per atom
# Symmetry   Cmmm
# MP2020-corrected energy   -5.577 eV/atom


Record 2
# PBE Sm2Ga2Fe15, optimized geometry
data_Sm2Ga2Fe15
_chemical_formula_sum 'Sm2 Ga2 Fe15'
_space_group_name_H-M_alt 'P 1'
_space_group_IT_number 1
_space_group_name_Hall 'P 1'
_cell_length_a 6.455
_cell_length_b 6.455
_cell_length_c 6.508
_cell_angle_alpha 83.11
_cell_angle_beta 83.11
_cell_angle_gamma 82.55
loop_
_atom_site_label
_atom_site_type_symbol
_atom_site_fract_x
_atom_site_fract_y
_atom_site_fract_z
Sm1 Sm 0.338 0.338 0.334
Sm2 Sm 0.657 0.657 0.658
Ga1 Ga 0.656 0.153 0.656
Ga2 Ga 0.153 0.656 0.656
Fe1 Fe 0.096 0.096 0.097
Fe2 Fe 0.904 0.904 0.908
Fe3 Fe 0.999 0.712 0.289
Fe4 Fe 0.710 0.291 0.001
Fe5 Fe 0.289 0.003 0.712
Fe6 Fe 0.291 0.710 0.001
Fe7 Fe 0.712 0.999 0.289
Fe8 Fe 0.003 0.289 0.712
Fe9 Fe 0.501 0.000 0.002
Fe10 Fe 0.004 0.004 0.497
Fe11 Fe 0.000 0.501 0.002
Fe12 Fe 0.658 0.658 0.154
Fe13 Fe 0.344 0.846 0.337
Fe14 Fe 0.846 0.344 0.337
Fe15 Fe 0.340 0.340 0.857
# Final energy   -139.6 eV/f.u.
# Relative energy among the computed polymorphs   0.180 eV per atom
# E_form   0.16 eV per atom
# Symmetry   Cm


Record 3
# PBE MnCoCuSn, optimized geometry
data_MnCoCuSn
_chemical_formula_sum 'Mn1 Co1 Cu1 Sn1'
_space_group_name_H-M_alt 'P 1'
_space_group_IT_number 1
_space_group_name_Hall 'P 1'
_cell_length_a 4.301
_cell_length_b 4.301
_cell_length_c 4.301
_cell_angle_alpha 60.00
_cell_angle_beta 60.00
_cell_angle_gamma 60.00
loop_
_atom_site_label
_atom_site_type_symbol
_atom_site_fract_x
_atom_site_fract_y
_atom_site_fract_z
Mn1 Mn 0.000 0.000 0.000
Co1 Co 0.750 0.750 0.750
Cu1 Cu 0.250 0.250 0.250
Sn1 Sn 0.500 0.500 0.500
# Final energy   -24.2 eV/f.u.
# E_form   0.04 eV per atom
# Symmetry   F-43m


Record 4
# PBE LiRuN2, optimized geometry
data_LiRuN2
_chemical_formula_sum 'Li2 Ru2 N4'
_space_group_name_H-M_alt 'P 1'
_space_group_IT_number 1
_space_group_name_Hall 'P 1'
_cell_length_a 5.575
_cell_length_b 4.689
_cell_length_c 8.963
_cell_angle_alpha 90.00
_cell_angle_beta 143.51
_cell_angle_gamma 114.87
loop_
_atom_site_label
_atom_site_type_symbol
_atom_site_fract_x
_atom_site_fract_y
_atom_site_fract_z
Li1 Li 0.000 0.500 0.250
Li2 Li 0.000 0.000 0.000
Ru1 Ru 0.000 0.500 0.750
Ru2 Ru 0.000 0.000 0.500
N1 N 0.500 0.955 0.125
N2 N 0.500 0.045 0.625
N3 N 0.589 0.545 0.420
N4 N 0.411 0.455 0.830
# Final energy   -27.8 eV/f.u.
# Relative energy among the computed polymorphs   0.000 eV per atom
# E_form   -0.17 eV per atom
# Symmetry   I-42d
# MP2020-corrected energy   -7.132 eV/atom